1.
# SmAu | Materials Project | PBE | optimized geometry
# - DFT total energy: -4.831 eV/atom
# - Formation energy from the elements: -0.835 eV per atom
data_SmAu
_space_group_name_H-M_alt 'P 1'
_space_group_IT_number 1
_space_group_name_Hall 'P 1'
_cell_length_a 5.922
_cell_length_b 5.922
_cell_length_c 4.726
_cell_angle_alpha 90.00
_cell_angle_beta 90.00
_cell_angle_gamma 141.70
loop_
_atom_site_label
_atom_site_fract_x
_atom_site_fract_y
_atom_site_fract_z
_atom_site_occupancy
Sm1 0.138 0.862 0.750 1
Sm2 0.862 0.138 0.250 1
Au1 0.412 0.588 0.750 1
Au2 0.588 0.412 0.250 1

---

2.
# MgMnAlS4 | Materials Project | PBE | optimized geometry
# - DFT total energy: -5.398 eV/atom
# - Corrected total energy (MP2020 scheme): -5.68 eV/atom
# - Formation energy from the elements: -1.249 eV per atom
data_MgMnAlS4
_space_group_name_H-M_alt 'P 1'
_space_group_IT_number 1
_space_group_name_Hall 'P 1'
_cell_length_a 7.248
_cell_length_b 7.248
_cell_length_c 7.248
_cell_angle_alpha 119.74
_cell_angle_beta 119.41
_cell_angle_gamma 90.74
loop_
_atom_site_label
_atom_site_fract_x
_atom_site_fract_y
_atom_site_fract_z
_atom_site_occupancy
Mg1 0.375 0.125 0.250 1
Mg2 0.625 0.875 0.750 1
Mn1 0.000 0.500 0.500 1
Mn2 0.500 0.500 0.000 1
Al1 0.000 0.000 0.500 1
Al2 0.000 0.500 0.000 1
S1 0.213 0.739 0.474 1
S2 0.235 0.261 0.974 1
S3 0.236 0.257 0.521 1
S4 0.236 0.715 0.979 1
S5 0.764 0.285 0.021 1
S6 0.764 0.743 0.479 1
S7 0.765 0.739 0.026 1
S8 0.787 0.261 0.526 1

---

3.
# Zr3Si | Materials Project | PBE | optimized geometry
# - DFT total energy: -8.334 eV/atom
# - Corrected total energy (MP2020 scheme): -8.32 eV/atom
# - Formation energy from the elements: -0.549 eV per atom
data_Zr3Si
_space_group_name_H-M_alt 'P 1'
_space_group_IT_number 1
_space_group_name_Hall 'P 1'
_cell_length_a 11.043
_cell_length_b 11.043
_cell_length_c 5.451
_cell_angle_alpha 90.00
_cell_angle_beta 90.00
_cell_angle_gamma 90.00
loop_
_atom_site_label
_atom_site_fract_x
_atom_site_fract_y
_atom_site_fract_z
_atom_site_occupancy
Zr1 0.034 0.571 0.240 1
Zr2 0.071 0.966 0.740 1
Zr3 0.112 0.222 0.028 1
Zr4 0.142 0.667 0.715 1
Zr5 0.167 0.858 0.215 1
Zr6 0.222 0.388 0.472 1
Zr7 0.278 0.112 0.472 1
Zr8 0.333 0.642 0.215 1
Zr9 0.358 0.833 0.715 1
Zr10 0.388 0.278 0.028 1
Zr11 0.429 0.534 0.740 1
Zr12 0.466 0.929 0.240 1
Zr13 0.534 0.071 0.760 1
Zr14 0.571 0.466 0.260 1
Zr15 0.612 0.722 0.972 1
Zr16 0.642 0.167 0.285 1
Zr17 0.667 0.358 0.785 1
Zr18 0.722 0.888 0.528 1
Zr19 0.778 0.612 0.528 1
Zr20 0.833 0.142 0.785 1
Zr21 0.858 0.333 0.285 1
Zr22 0.888 0.778 0.972 1
Zr23 0.929 0.034 0.260 1
Zr24 0.966 0.429 0.760 1
Si1 0.045 0.208 0.538 1
Si2 0.208 0.455 0.962 1
Si3 0.292 0.045 0.962 1
Si4 0.455 0.292 0.538 1
Si5 0.545 0.708 0.462 1
Si6 0.708 0.955 0.038 1
Si7 0.792 0.545 0.038 1
Si8 0.955 0.792 0.462 1

---

4.
# Th2Al2C3 | Materials Project | PBE | optimized geometry
# - DFT total energy: -7.483 eV/atom
# - Formation energy from the elements: -0.340 eV per atom
data_Th2Al2C3
_space_group_name_H-M_alt 'P 1'
_space_group_IT_number 1
_space_group_name_Hall 'P 1'
_cell_length_a 5.433
_cell_length_b 11.590
_cell_length_c 3.513
_cell_angle_alpha 90.00
_cell_angle_beta 90.00
_cell_angle_gamma 90.00
loop_
_atom_site_label
_atom_site_fract_x
_atom_site_fract_y
_atom_site_fract_z
_atom_site_occupancy
Th1 0.179 0.149 0.000 1
Th2 0.321 0.649 0.500 1
Th3 0.679 0.351 0.500 1
Th4 0.821 0.851 0.000 1
Al1 0.186 0.414 0.000 1
Al2 0.314 0.914 0.500 1
Al3 0.686 0.086 0.500 1
Al4 0.814 0.586 0.000 1
C1 0.000 0.000 0.500 1
C2 0.172 0.311 0.500 1
C3 0.328 0.811 0.000 1
C4 0.500 0.500 0.000 1
C5 0.672 0.189 0.000 1
C6 0.828 0.689 0.500 1